# 1
Compound: Na4Zn3SiSnS5O24
Source: the Materials Project
Functional: PBE
Structure: relaxed Values from VASP.

Quantum ESPRESSO input file:
```
&SYSTEM
  ibrav = 0, nat = 114, ntyp = 6
/
ATOMIC_SPECIES
Na 22.99 Na.upf
Zn 65.41 Zn.upf
Si 28.09 Si.upf
Sn 118.71 Sn.upf
S 32.06 S.upf
O 16.00 O.upf
CELL_PARAMETERS angstrom
-8.689 1.674 0.735
3.166 -8.058 1.970
3.244 6.695 21.279
ATOMIC_POSITIONS crystal
Na 0.363 0.364 0.250
Na 0.311 0.342 0.588
Na 0.024 0.699 0.582
Na 0.987 0.677 0.917
Na 0.700 0.032 0.911
Na 0.310 0.287 0.919
Na 0.974 0.983 0.499
Na 0.015 0.014 0.002
Na 0.668 0.324 0.826
Na 0.680 0.332 0.329
Na 0.333 0.679 0.165
Na 0.362 0.679 0.663
Zn 0.998 0.997 0.347
Zn 0.013 0.014 0.849
Zn 0.971 0.982 0.652
Zn 0.995 0.995 0.153
Zn 0.663 0.346 0.682
Zn 0.675 0.332 0.184
Zn 0.311 0.661 0.015
Zn 0.359 0.676 0.514
Zn 0.332 0.678 0.318
Si 0.665 0.633 0.585
Si 0.040 0.371 0.919
Si 0.333 0.962 0.919
Sn 0.669 0.326 0.987
Sn 0.671 0.341 0.482
Sn 0.326 0.671 0.817
S 0.294 0.999 0.250
S 0.703 0.703 0.250
S 0.001 0.295 0.251
S 0.299 0.301 0.750
S 0.000 0.703 0.750
S 0.697 0.998 0.752
S 0.959 0.331 0.584
S 0.375 0.039 0.584
S 0.960 0.632 0.086
S 0.668 0.030 0.086
S 0.371 0.335 0.086
S 0.625 0.664 0.918
S 0.633 0.969 0.417
S 0.329 0.364 0.415
S 0.040 0.666 0.418
O 0.215 0.030 0.303
O 0.808 0.784 0.305
O 0.976 0.191 0.304
O 0.216 0.207 0.805
O 0.987 0.787 0.805
O 0.793 0.013 0.808
O 0.780 0.975 0.699
O 0.194 0.218 0.695
O 0.021 0.804 0.696
O 0.782 0.806 0.197
O 0.030 0.214 0.197
O 0.189 0.974 0.195
O 0.873 0.353 0.636
O 0.487 0.115 0.636
O 0.619 0.500 0.639
O 0.864 0.518 0.135
O 0.646 0.126 0.135
O 0.479 0.351 0.138
O 0.453 0.311 0.028
O 0.858 0.556 0.027
O 0.696 0.132 0.027
O 0.456 0.147 0.529
O 0.717 0.551 0.525
O 0.848 0.291 0.528
O 0.550 0.698 0.971
O 0.174 0.444 0.974
O 0.298 0.843 0.975
O 0.554 0.873 0.471
O 0.313 0.446 0.471
O 0.135 0.682 0.474
O 0.123 0.643 0.365
O 0.526 0.891 0.363
O 0.356 0.470 0.362
O 0.114 0.497 0.859
O 0.399 0.894 0.860
O 0.511 0.622 0.863
O 0.014 0.818 0.413
O 0.809 0.993 0.412
O 0.175 0.188 0.410
O 0.996 0.171 0.909
O 0.161 0.978 0.909
O 0.800 0.814 0.909
O 0.994 0.185 0.589
O 0.206 0.035 0.589
O 0.847 0.820 0.588
O 0.975 0.805 0.089
O 0.829 0.020 0.090
O 0.198 0.176 0.087
O 0.674 0.151 0.746
O 0.473 0.318 0.748
O 0.849 0.524 0.747
O 0.679 0.523 0.245
O 0.845 0.316 0.244
O 0.470 0.162 0.245
O 0.641 0.504 0.924
O 0.851 0.368 0.925
O 0.503 0.164 0.924
O 0.648 0.150 0.421
O 0.493 0.346 0.419
O 0.861 0.498 0.419
O 0.363 0.496 0.081
O 0.131 0.643 0.083
O 0.512 0.858 0.080
O 0.339 0.858 0.576
O 0.487 0.641 0.577
O 0.127 0.496 0.577
O 0.315 0.844 0.255
O 0.523 0.679 0.255
O 0.163 0.471 0.256
O 0.319 0.483 0.753
O 0.167 0.691 0.751
O 0.520 0.829 0.753
```

Its energy with MP2020 corrections is -6.20 eV per atom. As for the energy of formation: -2.049 eV per atom. The calculation puts the volume at 13.484 Å³/atom. The calculation puts the total DFT energy (no corrections) at -5.7710 eV per atom.

***

# 2
Compound: Na2ZnSiSnS2O12
Source: the Materials Project
Functional: PBE
Structure: relaxed Values from VASP.

Quantum ESPRESSO input file:
```
&SYSTEM
  ibrav = 0, nat = 114, ntyp = 6
/
ATOMIC_SPECIES
Na 22.99 Na.upf
Zn 65.41 Zn.upf
Si 28.09 Si.upf
Sn 118.71 Sn.upf
S 32.06 S.upf
O 16.00 O.upf
CELL_PARAMETERS angstrom
-8.905 0.140 -0.833
4.673 -6.954 -3.094
-2.034 -10.359 20.013
ATOMIC_POSITIONS crystal
Na 0.998 0.637 0.238
Na 0.640 0.637 0.738
Na 0.656 0.952 0.578
Na 0.296 0.952 0.078
Na 0.692 0.026 0.906
Na 0.334 0.026 0.406
Na 0.972 0.982 0.493
Na 0.011 0.982 0.993
Na 0.657 0.309 0.827
Na 0.652 0.309 0.327
Na 0.328 0.659 0.161
Na 0.331 0.659 0.661
Zn 0.999 0.005 0.351
Zn 0.007 0.005 0.851
Zn 0.668 0.324 0.684
Zn 0.656 0.324 0.184
Zn 0.295 0.667 0.017
Zn 0.372 0.667 0.517
Si 0.301 0.008 0.254
Si 0.707 0.008 0.754
Si 0.667 0.621 0.589
Si 0.954 0.621 0.089
Si 0.329 0.973 0.921
Si 0.644 0.973 0.421
Sn 0.993 0.991 0.650
Sn 0.998 0.991 0.150
Sn 0.667 0.340 0.984
Sn 0.673 0.340 0.484
Sn 0.346 0.687 0.317
Sn 0.341 0.687 0.817
S 0.700 0.706 0.252
S 0.006 0.296 0.252
S 0.290 0.296 0.752
S 0.006 0.706 0.752
S 0.969 0.337 0.584
S 0.363 0.038 0.584
S 0.674 0.038 0.084
S 0.368 0.337 0.084
S 0.618 0.660 0.918
S 0.042 0.377 0.917
S 0.335 0.377 0.417
S 0.041 0.660 0.418
O 0.207 0.018 0.314
O 0.806 0.794 0.303
O 0.985 0.191 0.303
O 0.207 0.191 0.803
O 0.988 0.794 0.803
O 0.811 0.018 0.814
O 0.787 0.961 0.693
O 0.190 0.216 0.695
O 0.045 0.814 0.696
O 0.769 0.814 0.196
O 0.026 0.216 0.195
O 0.174 0.961 0.193
O 0.887 0.355 0.637
O 0.479 0.121 0.634
O 0.656 0.517 0.649
O 0.862 0.517 0.149
O 0.642 0.121 0.134
O 0.468 0.355 0.137
O 0.439 0.289 0.031
O 0.840 0.538 0.028
O 0.702 0.138 0.027
O 0.435 0.138 0.527
O 0.698 0.538 0.528
O 0.850 0.289 0.531
O 0.524 0.672 0.968
O 0.146 0.458 0.969
O 0.316 0.874 0.983
O 0.558 0.874 0.483
O 0.312 0.458 0.469
O 0.148 0.672 0.468
O 0.110 0.630 0.360
O 0.506 0.892 0.364
O 0.356 0.480 0.361
O 0.124 0.480 0.861
O 0.386 0.892 0.864
O 0.519 0.630 0.860
O 0.030 0.818 0.414
O 0.830 0.993 0.410
O 0.188 0.200 0.413
O 0.011 0.200 0.913
O 0.163 0.993 0.910
O 0.789 0.818 0.914
O 0.987 0.176 0.588
O 0.194 0.035 0.591
O 0.843 0.824 0.587
O 0.981 0.824 0.087
O 0.841 0.035 0.091
O 0.189 0.176 0.088
O 0.680 0.171 0.744
O 0.467 0.327 0.747
O 0.848 0.538 0.746
O 0.690 0.538 0.246
O 0.860 0.327 0.247
O 0.491 0.171 0.244
O 0.642 0.504 0.920
O 0.867 0.364 0.919
O 0.522 0.164 0.924
O 0.642 0.164 0.424
O 0.498 0.364 0.419
O 0.862 0.504 0.420
O 0.354 0.490 0.074
O 0.150 0.652 0.086
O 0.528 0.860 0.078
O 0.332 0.860 0.578
O 0.502 0.652 0.586
O 0.136 0.490 0.574
O 0.299 0.815 0.254
O 0.520 0.679 0.256
O 0.171 0.472 0.255
O 0.301 0.472 0.755
O 0.159 0.679 0.756
O 0.516 0.815 0.754
```

Its energy with MP2020 corrections is -6.39 eV per atom. As for the energy of formation: -2.130 eV per atom. The calculation puts the volume at 13.726 Å³/atom. The calculation puts the total DFT energy (no corrections) at -5.9588 eV per atom.